No. 1
SnW18O54: optimized geometry, PBE with a Hubbard U.

a b c (Å): 7.5082 13.0076 23.1749
angles (deg): 90.00 90.00 90.00
Atoms (fractional coordinates):
Sn 0.2500 0.2500 0.0839
Sn 0.7500 0.7500 0.9161
W 0.9999 0.9997 0.2512
W 0.0000 0.0000 0.4171
W 0.0000 0.0000 0.5829
W 0.0001 0.0003 0.7488
W 0.9998 0.0018 0.9160
W 0.9998 0.4982 0.9160
W 0.9999 0.5003 0.2512
W 0.0000 0.5000 0.4171
W 0.0000 0.5000 0.5829
W 0.0001 0.4997 0.7488
W 0.0002 0.5018 0.0840
W 0.0002 0.9982 0.0840
W 0.2500 0.7500 0.0843
W 0.2500 0.7500 0.2512
W 0.2500 0.7500 0.4174
W 0.2500 0.7500 0.5831
W 0.2500 0.7500 0.7488
W 0.2500 0.7500 0.9163
W 0.5001 0.9997 0.2512
W 0.5000 0.0000 0.4171
W 0.5000 0.0000 0.5829
W 0.4999 0.0003 0.7488
W 0.5002 0.0018 0.9160
W 0.5002 0.4982 0.9160
W 0.5001 0.5003 0.2512
W 0.5000 0.5000 0.4171
W 0.5000 0.5000 0.5829
W 0.4999 0.4997 0.7488
W 0.4998 0.5018 0.0840
W 0.4998 0.9982 0.0840
W 0.7500 0.2500 0.0837
W 0.7500 0.2500 0.2512
W 0.7500 0.2500 0.4169
W 0.7500 0.2500 0.5826
W 0.7500 0.2500 0.7488
W 0.7500 0.2500 0.9157
O 0.0000 0.0000 0.0000
O 0.9996 0.9999 0.3330
O 0.0000 0.0000 0.5000
O 0.0004 0.0001 0.6670
O 0.0000 0.5000 0.0000
O 0.9996 0.5001 0.3330
O 0.0000 0.5000 0.5000
O 0.0004 0.4999 0.6670
O 0.0013 0.0004 0.1655
O 0.0013 0.4996 0.1655
O 0.0569 0.6488 0.9172
O 0.0569 0.8512 0.9172
O 0.0693 0.6426 0.0828
O 0.0693 0.8574 0.0828
O 0.0703 0.6433 0.7507
O 0.0703 0.8567 0.7507
O 0.0709 0.6430 0.2491
O 0.0709 0.6430 0.4165
O 0.0709 0.6431 0.5836
O 0.0709 0.8570 0.2491
O 0.0709 0.8570 0.4165
O 0.0709 0.8569 0.5836
O 0.2500 0.0303 0.9173
O 0.2500 0.0364 0.2492
O 0.2500 0.0360 0.4164
O 0.2500 0.0361 0.5835
O 0.2500 0.0360 0.7509
O 0.2500 0.0500 0.0827
O 0.2500 0.4500 0.0827
O 0.2500 0.4636 0.2492
O 0.2500 0.4640 0.4164
O 0.2500 0.4639 0.5835
O 0.2500 0.4640 0.7509
O 0.2500 0.4697 0.9173
O 0.2500 0.7500 0.9998
O 0.2500 0.7500 0.1655
O 0.2500 0.7500 0.3330
O 0.2500 0.7500 0.5001
O 0.2500 0.7500 0.6670
O 0.2500 0.7500 0.8346
O 0.4291 0.6430 0.2491
O 0.4291 0.6430 0.4165
O 0.4291 0.6431 0.5836
O 0.4291 0.8570 0.2491
O 0.4291 0.8570 0.4165
O 0.4291 0.8569 0.5836
O 0.4297 0.6433 0.7507
O 0.4297 0.8567 0.7507
O 0.4307 0.6426 0.0828
O 0.4307 0.8574 0.0828
O 0.4431 0.6488 0.9172
O 0.4431 0.8512 0.9172
O 0.4987 0.0004 0.1655
O 0.4987 0.4996 0.1655
O 0.5000 0.0000 0.0000
O 0.5004 0.9999 0.3330
O 0.5000 0.0000 0.5000
O 0.4996 0.0001 0.6670
O 0.5000 0.5000 0.0000
O 0.5004 0.5001 0.3330
O 0.5000 0.5000 0.5000
O 0.4996 0.4999 0.6670
O 0.5013 0.9996 0.8345
O 0.5013 0.5004 0.8345
O 0.5569 0.1488 0.0828
O 0.5569 0.3512 0.0828
O 0.5693 0.1426 0.9172
O 0.5693 0.3574 0.9172
O 0.5703 0.1433 0.2493
O 0.5703 0.3567 0.2493
O 0.5709 0.1431 0.4164
O 0.5709 0.1430 0.5835
O 0.5709 0.1430 0.7509
O 0.5709 0.3569 0.4164
O 0.5709 0.3570 0.5835
O 0.5709 0.3570 0.7509
O 0.7500 0.2500 0.0002
O 0.7500 0.2500 0.1654
O 0.7500 0.2500 0.3330
O 0.7500 0.2500 0.4999
O 0.7500 0.2500 0.6670
O 0.7500 0.2500 0.8345
O 0.7500 0.5303 0.0827
O 0.7500 0.5360 0.2491
O 0.7500 0.5361 0.4165
O 0.7500 0.5360 0.5836
O 0.7500 0.5364 0.7508
O 0.7500 0.5500 0.9173
O 0.7500 0.9500 0.9173
O 0.7500 0.9640 0.2491
O 0.7500 0.9639 0.4165
O 0.7500 0.9640 0.5836
O 0.7500 0.9636 0.7508
O 0.7500 0.9697 0.0827
O 0.9291 0.1431 0.4164
O 0.9291 0.1430 0.5835
O 0.9291 0.1430 0.7509
O 0.9291 0.3569 0.4164
O 0.9291 0.3570 0.5835
O 0.9291 0.3570 0.7509
O 0.9297 0.1433 0.2493
O 0.9297 0.3567 0.2493
O 0.9307 0.1426 0.9172
O 0.9307 0.3574 0.9172
O 0.9431 0.1488 0.0828
O 0.9431 0.3512 0.0828
O 0.9987 0.9996 0.8345
O 0.9987 0.5004 0.8345

Values from the calculation:
M_tot ... 0.0012 μB per atom
Space group ... Pmmn

***

No. 2
Sn5W8O22: optimized geometry, PBE with a Hubbard U.

a b c (Å): 7.9051 7.9051 18.9828
angles (deg): 90.00 90.00 120.00
Atoms (fractional coordinates):
Sn 0.1133 0.8056 0.2500
Sn 0.1944 0.3077 0.2500
Sn 0.3077 0.1133 0.7500
Sn 0.3333 0.6667 0.0670
Sn 0.3333 0.6667 0.4330
Sn 0.6667 0.3333 0.5670
Sn 0.6667 0.3333 0.9330
Sn 0.6923 0.8867 0.2500
Sn 0.8056 0.6923 0.7500
Sn 0.8867 0.1944 0.7500
W 0.0562 0.8333 0.5602
W 0.0562 0.8333 0.9398
W 0.1667 0.2229 0.5602
W 0.1667 0.2229 0.9398
W 0.2229 0.0562 0.0602
W 0.2229 0.0562 0.4398
W 0.3333 0.6667 0.6708
W 0.3333 0.6667 0.8292
W 0.6667 0.3333 0.1708
W 0.6667 0.3333 0.3292
W 0.7771 0.9438 0.5602
W 0.7771 0.9438 0.9398
W 0.8333 0.7771 0.0602
W 0.8333 0.7771 0.4398
W 0.9438 0.1667 0.0602
W 0.9438 0.1667 0.4398
O 0.0000 0.0000 0.2500
O 0.0000 0.0000 0.7500
O 0.0585 0.8235 0.1230
O 0.0585 0.8235 0.3770
O 0.1243 0.6611 0.6244
O 0.1243 0.6611 0.8756
O 0.1325 0.4127 0.0031
O 0.1325 0.4127 0.4969
O 0.1650 0.4691 0.7500
O 0.1765 0.2350 0.1230
O 0.1765 0.2350 0.3770
O 0.2350 0.0585 0.6230
O 0.2350 0.0585 0.8770
O 0.2802 0.8675 0.0031
O 0.2802 0.8675 0.4969
O 0.3041 0.8350 0.7500
O 0.3389 0.4632 0.6244
O 0.3389 0.4632 0.8756
O 0.4127 0.2802 0.5031
O 0.4127 0.2802 0.9969
O 0.4632 0.1243 0.1244
O 0.4632 0.1243 0.3756
O 0.4691 0.3041 0.2500
O 0.5309 0.6959 0.7500
O 0.5368 0.8757 0.6244
O 0.5368 0.8757 0.8756
O 0.5873 0.7198 0.0031
O 0.5873 0.7198 0.4969
O 0.6611 0.5368 0.1244
O 0.6611 0.5368 0.3756
O 0.6959 0.1650 0.2500
O 0.7198 0.1325 0.5031
O 0.7198 0.1325 0.9969
O 0.7650 0.9415 0.1230
O 0.7650 0.9415 0.3770
O 0.8235 0.7650 0.6230
O 0.8235 0.7650 0.8770
O 0.8350 0.5309 0.2500
O 0.8675 0.5873 0.5031
O 0.8675 0.5873 0.9969
O 0.8757 0.3389 0.1244
O 0.8757 0.3389 0.3756
O 0.9415 0.1765 0.6230
O 0.9415 0.1765 0.8770

Values from the calculation:
M_tot ... 0.0000 μB per atom
Space group ... P6_3/m

***

No. 3
Sn2WO5: optimized geometry, PBE with a Hubbard U.

a b c (Å): 8.2172 14.1066 10.8874
angles (deg): 90.00 113.65 90.00
Atoms (fractional coordinates):
Sn 0.0527 0.1562 0.1168
Sn 0.0527 0.3438 0.6168
Sn 0.1948 0.1002 0.8032
Sn 0.1948 0.3998 0.3032
Sn 0.2672 0.6522 0.0463
Sn 0.2672 0.8478 0.5463
Sn 0.4123 0.6028 0.7294
Sn 0.4123 0.8972 0.2294
Sn 0.5877 0.1028 0.7706
Sn 0.5877 0.3972 0.2706
Sn 0.7328 0.1522 0.4537
Sn 0.7328 0.3478 0.9537
Sn 0.8052 0.6002 0.6968
Sn 0.8052 0.8998 0.1968
Sn 0.9473 0.6562 0.3832
Sn 0.9473 0.8438 0.8832
W 0.2234 0.1708 0.4698
W 0.2234 0.3292 0.9698
W 0.4412 0.6765 0.3986
W 0.4412 0.8235 0.8986
W 0.5588 0.1765 0.1014
W 0.5588 0.3235 0.6014
W 0.7766 0.6708 0.0302
W 0.7766 0.8292 0.5302
O 0.0146 0.2125 0.4954
O 0.0146 0.2875 0.9954
O 0.1543 0.0624 0.3817
O 0.1543 0.4376 0.8817
O 0.1638 0.2404 0.2988
O 0.1638 0.2596 0.7988
O 0.2310 0.7172 0.4219
O 0.2310 0.7828 0.9219
O 0.3053 0.1838 0.0621
O 0.3053 0.3162 0.5621
O 0.3065 0.1156 0.6539
O 0.3065 0.3844 0.1539
O 0.3681 0.5668 0.3091
O 0.3681 0.9332 0.8091
O 0.3777 0.7437 0.2250
O 0.3777 0.7563 0.7250
O 0.4755 0.1219 0.9193
O 0.4755 0.3781 0.4193
O 0.4796 0.1799 0.5152
O 0.4796 0.3201 0.0152
O 0.5204 0.6799 0.9848
O 0.5204 0.8201 0.4848
O 0.5245 0.6219 0.5807
O 0.5245 0.8781 0.0807
O 0.6223 0.2437 0.2750
O 0.6223 0.2563 0.7750
O 0.6319 0.0668 0.1909
O 0.6319 0.4332 0.6909
O 0.6935 0.6156 0.8461
O 0.6935 0.8844 0.3461
O 0.6947 0.6838 0.4379
O 0.6947 0.8162 0.9379
O 0.7690 0.2172 0.0781
O 0.7690 0.2828 0.5781
O 0.8362 0.7404 0.2012
O 0.8362 0.7596 0.7012
O 0.8457 0.5624 0.1183
O 0.8457 0.9376 0.6183
O 0.9854 0.7125 0.0046
O 0.9854 0.7875 0.5046

Values from the calculation:
Space group ... P2_1/c

***

No. 4
Sn5W8O23: optimized geometry, PBE with a Hubbard U.

a b c (Å): 8.1560 8.1560 19.4914
angles (deg): 90.00 90.00 120.00
Atoms (fractional coordinates):
Sn 0.0954 0.7997 0.2500
Sn 0.2003 0.2958 0.2500
Sn 0.2958 0.0954 0.7500
Sn 0.3333 0.6667 0.0604
Sn 0.3333 0.6667 0.4396
Sn 0.6667 0.3333 0.5604
Sn 0.6667 0.3333 0.9396
Sn 0.7042 0.9046 0.2500
Sn 0.7997 0.7042 0.7500
Sn 0.9046 0.2003 0.7500
W 0.0564 0.8051 0.5699
W 0.0564 0.8051 0.9301
W 0.1949 0.2513 0.5699
W 0.1949 0.2513 0.9301
W 0.2513 0.0564 0.0699
W 0.2513 0.0564 0.4301
W 0.3333 0.6667 0.6744
W 0.3333 0.6667 0.8256
W 0.6667 0.3333 0.1744
W 0.6667 0.3333 0.3256
W 0.7487 0.9436 0.5699
W 0.7487 0.9436 0.9301
W 0.8051 0.7487 0.0699
W 0.8051 0.7487 0.4301
W 0.9436 0.1949 0.0699
W 0.9436 0.1949 0.4301
O 0.0000 0.0000 0.0000
O 0.0000 0.0000 0.2500
O 0.0000 0.0000 0.5000
O 0.0000 0.0000 0.7500
O 0.0478 0.8238 0.1224
O 0.0478 0.8238 0.3776
O 0.1213 0.6389 0.6292
O 0.1213 0.6389 0.8708
O 0.1454 0.4048 0.0039
O 0.1454 0.4048 0.4961
O 0.1762 0.2240 0.1224
O 0.1762 0.2240 0.3776
O 0.1768 0.4679 0.7500
O 0.2240 0.0478 0.6224
O 0.2240 0.0478 0.8776
O 0.2593 0.8546 0.0039
O 0.2593 0.8546 0.4961
O 0.2912 0.8232 0.7500
O 0.3611 0.4824 0.6292
O 0.3611 0.4824 0.8708
O 0.4048 0.2593 0.5039
O 0.4048 0.2593 0.9961
O 0.4679 0.2912 0.2500
O 0.4824 0.1213 0.1292
O 0.4824 0.1213 0.3708
O 0.5176 0.8787 0.6292
O 0.5176 0.8787 0.8708
O 0.5321 0.7088 0.7500
O 0.5952 0.7407 0.0039
O 0.5952 0.7407 0.4961
O 0.6389 0.5176 0.1292
O 0.6389 0.5176 0.3708
O 0.7088 0.1768 0.2500
O 0.7407 0.1454 0.5039
O 0.7407 0.1454 0.9961
O 0.7760 0.9522 0.1224
O 0.7760 0.9522 0.3776
O 0.8232 0.5321 0.2500
O 0.8238 0.7760 0.6224
O 0.8238 0.7760 0.8776
O 0.8546 0.5952 0.5039
O 0.8546 0.5952 0.9961
O 0.8787 0.3611 0.1292
O 0.8787 0.3611 0.3708
O 0.9522 0.1762 0.6224
O 0.9522 0.1762 0.8776

Values from the calculation:
M_tot ... 0.3333 μB per atom
Space group ... P6_3/m

***

No. 5
SnW2O8: optimized geometry, PBE with a Hubbard U.

a b c (Å): 5.1370 5.4867 6.7129
angles (deg): 109.52 92.08 105.06
Atoms (fractional coordinates):
Sn 0.0000 0.0000 0.0000
W 0.2560 0.4722 0.8131
W 0.7440 0.5278 0.1869
O 0.0837 0.7622 0.1646
O 0.1397 0.7402 0.7585
O 0.3308 0.2931 0.5680
O 0.3759 0.2986 0.0297
O 0.6241 0.7014 0.9703
O 0.6692 0.7069 0.4320
O 0.8603 0.2598 0.2415
O 0.9163 0.2378 0.8354

Values from the calculation:
M_tot ... 0.0000 μB per atom
Space group ... P-1
Relative energy among the computed polymorphs ... 57 meV/atom

***

No. 6
YSnW2O8: optimized geometry, PBE with a Hubbard U.

a b c (Å): 5.2205 6.1668 6.5247
angles (deg): 62.93 70.14 87.70
Atoms (fractional coordinates):
Y 0.0000 0.0000 0.0000
Sn 0.4218 0.4557 0.0631
W 0.2058 0.7223 0.5151
W 0.6858 0.0463 0.5342
O 0.0662 0.0694 0.3129
O 0.1861 0.3994 0.7446
O 0.1954 0.6834 0.2324
O 0.2956 0.8944 0.7125
O 0.5916 0.8997 0.3167
O 0.6593 0.3577 0.3094
O 0.7214 0.1149 0.7683
O 0.7992 0.7104 0.7111

Values from the calculation:
M_tot ... 0.0833 μB per atom
Space group ... P1
Relative energy among the computed polymorphs ... 9 meV/atom

***

No. 7
YSnW2O8: optimized geometry, PBE with a Hubbard U.

a b c (Å): 5.3604 5.7094 11.1427
angles (deg): 90.00 111.98 90.00
Atoms (fractional coordinates):
Y 0.0000 0.2285 0.2500
Y 0.0000 0.7715 0.7500
Sn 0.5000 0.1780 0.7500
Sn 0.5000 0.8220 0.2500
W 0.2478 0.3277 0.9980
W 0.2478 0.6723 0.4980
W 0.7522 0.3277 0.5020
W 0.7522 0.6723 0.0020
O 0.1194 0.4293 0.6140
O 0.1194 0.5707 0.1140
O 0.2429 0.1100 0.1312
O 0.2429 0.8900 0.6312
O 0.2591 0.1066 0.8699
O 0.2591 0.8934 0.3699
O 0.3655 0.4024 0.3989
O 0.3655 0.5976 0.8989
O 0.6345 0.4024 0.1011
O 0.6345 0.5976 0.6011
O 0.7409 0.1066 0.6301
O 0.7409 0.8934 0.1301
O 0.7571 0.1100 0.3688
O 0.7571 0.8900 0.8688
O 0.8806 0.4293 0.8860
O 0.8806 0.5707 0.3860

Values from the calculation:
M_tot ... 0.0891 μB per atom
Space group ... P2/c
Relative energy among the computed polymorphs ... 0 meV/atom

***

| no. | uncorrected energy (eV per atom) |
| --- | --- |
| 1 | -7.463 |
| 2 | -6.988 |
| 3 | -6.661 |
| 4 | -7.013 |
| 5 | -7.023 |
| 6 | -7.559 |
| 7 | -7.568 |